1.
A plane-wave DFT calculation with PBE-GGA was carried out for crystalline Li3OsN2 at its relaxed geometry.

Energy of formation, eV/atom: -0.199
Energy above the most stable polymorph in this dataset, meV/atom: 16
Crystal system: cubic
SG: Ia-3
Calculated total energy, eV per atom: -5.6831

abc: 8.471 9.781 9.781
angles: 90.00 125.26 54.74
Positions (direct):
Li 0.223 0.042 0.988
Li 0.777 0.765 0.512
Li 0.777 0.458 0.765
Li 0.223 0.735 0.735
Li 0.247 0.765 0.277
Li 0.753 0.735 0.030
Li 0.247 0.988 0.470
Li 0.753 0.512 0.223
Li 0.693 0.030 0.735
Li 0.693 0.277 0.458
Li 0.307 0.223 0.765
Li 0.307 0.470 0.042
Li 0.777 0.958 0.012
Li 0.223 0.235 0.488
Li 0.223 0.542 0.235
Li 0.777 0.265 0.265
Li 0.753 0.235 0.723
Li 0.247 0.265 0.970
Li 0.753 0.012 0.530
Li 0.247 0.488 0.777
Li 0.307 0.970 0.265
Li 0.307 0.723 0.542
Li 0.693 0.777 0.235
Li 0.693 0.530 0.958
Os 0.228 0.000 0.728
Os 0.772 0.728 0.772
Os 0.772 0.500 0.500
Os 0.228 0.772 0.000
Os 0.772 0.000 0.272
Os 0.228 0.272 0.228
Os 0.228 0.500 0.500
Os 0.772 0.228 0.000
N 0.000 0.000 0.500
N 0.000 0.500 0.000
N 0.000 0.500 0.500
N 0.000 0.000 0.000
N 0.500 0.980 0.750
N 0.500 0.520 0.250
N 0.000 0.250 0.730
N 0.000 0.750 0.770
N 0.541 0.730 0.520
N 0.459 0.770 0.980
N 0.500 0.020 0.250
N 0.500 0.480 0.750
N 0.000 0.750 0.270
N 0.000 0.250 0.230
N 0.459 0.270 0.480
N 0.541 0.230 0.020



2.
A plane-wave DFT calculation with PBE-GGA was carried out for crystalline Y2GaN3 at its relaxed geometry.

Energy of formation, eV/atom: -1.292
Energy above the most stable polymorph in this dataset, meV/atom: 0
Crystal system: orthorhombic
SG: Cmc2_1
Calculated total energy, eV per atom: -7.9395

abc: 6.529 6.399 5.136
angles: 90.00 90.00 119.34
Positions (direct):
Y 0.319 0.341 0.453
Y 0.681 0.022 0.453
Y 0.681 0.659 0.953
Y 0.319 0.978 0.953
Ga 0.000 0.662 0.479
Ga 0.000 0.338 0.979
N 0.306 0.331 0.914
N 0.694 0.025 0.914
N 0.694 0.669 0.414
N 0.306 0.975 0.414
N 0.000 0.627 0.859
N 0.000 0.373 0.359



3.
A plane-wave DFT calculation with PBE-GGA was carried out for crystalline Na2Zn5Ge3S12O48 at its relaxed geometry.

Energy of formation, eV/atom: -1.843
Crystal system: triclinic
SG: P1
Calculated total energy, eV per atom: -5.8001

abc: 17.078 8.549 22.248
angles: 90.12 89.89 120.04
Positions (direct):
Na 0.000 0.000 0.501
Na 0.502 0.004 0.999
Na 0.335 0.335 0.831
Na 0.832 0.332 0.832
Na 0.332 0.334 0.337
Na 0.834 0.333 0.334
Zn 0.001 0.002 0.354
Zn 0.501 0.001 0.852
Zn 0.000 0.000 0.648
Zn 0.504 0.004 0.148
Zn 0.331 0.331 0.682
Zn 0.835 0.336 0.683
Zn 0.831 0.332 0.182
Zn 0.331 0.332 0.981
Zn 0.835 0.334 0.984
Zn 0.336 0.337 0.486
Zn 0.831 0.330 0.485
Zn 0.163 0.661 0.312
Zn 0.670 0.670 0.312
Zn 0.170 0.671 0.809
Zn 0.663 0.662 0.809
Ge 0.501 0.998 0.354
Ge 0.999 0.999 0.849
Ge 0.500 0.000 0.650
Ge 0.996 0.998 0.150
Ge 0.335 0.334 0.183
Ge 0.163 0.667 0.016
Ge 0.671 0.667 0.016
Ge 0.166 0.665 0.520
Ge 0.667 0.667 0.520
S 0.147 0.005 0.247
S 0.644 0.000 0.252
S 0.355 0.706 0.249
S 0.856 0.709 0.250
S 0.999 0.288 0.249
S 0.498 0.290 0.250
S 0.145 0.288 0.751
S 0.646 0.288 0.749
S 0.000 0.710 0.751
S 0.498 0.709 0.749
S 0.356 0.003 0.749
S 0.855 0.001 0.751
S 0.484 0.332 0.583
S 0.984 0.338 0.581
S 0.186 0.033 0.580
S 0.682 0.032 0.584
S 0.334 0.636 0.584
S 0.831 0.629 0.580
S 0.481 0.624 0.082
S 0.984 0.636 0.083
S 0.330 0.036 0.082
S 0.833 0.032 0.083
S 0.184 0.333 0.085
S 0.686 0.339 0.080
S 0.310 0.667 0.918
S 0.815 0.672 0.914
S 0.021 0.371 0.915
S 0.522 0.378 0.917
S 0.163 0.957 0.915
S 0.667 0.955 0.918
S 0.314 0.957 0.414
S 0.811 0.956 0.418
S 0.168 0.379 0.418
S 0.664 0.372 0.415
S 0.022 0.666 0.417
S 0.521 0.670 0.415
O 0.113 0.048 0.300
O 0.602 0.039 0.308
O 0.414 0.782 0.305
O 0.913 0.791 0.303
O 0.477 0.171 0.305
O 0.984 0.176 0.302
O 0.104 0.168 0.809
O 0.607 0.177 0.803
O 0.482 0.787 0.803
O 0.981 0.792 0.809
O 0.411 0.035 0.803
O 0.915 0.040 0.809
O 0.399 0.971 0.693
O 0.897 0.974 0.698
O 0.090 0.206 0.698
O 0.587 0.203 0.693
O 0.013 0.819 0.698
O 0.514 0.826 0.693
O 0.396 0.813 0.195
O 0.897 0.824 0.192
O 0.016 0.203 0.192
O 0.510 0.209 0.195
O 0.090 0.976 0.191
O 0.590 0.973 0.198
O 0.448 0.372 0.636
O 0.946 0.373 0.635
O 0.240 0.107 0.635
O 0.738 0.105 0.637
O 0.315 0.524 0.637
O 0.814 0.521 0.635
O 0.440 0.506 0.139
O 0.949 0.525 0.137
O 0.312 0.117 0.138
O 0.815 0.105 0.138
O 0.245 0.373 0.140
O 0.739 0.374 0.135
O 0.222 0.294 0.032
O 0.726 0.309 0.027
O 0.424 0.541 0.030
O 0.931 0.565 0.029
O 0.346 0.150 0.029
O 0.852 0.142 0.030
O 0.226 0.143 0.526
O 0.717 0.139 0.529
O 0.353 0.564 0.529
O 0.845 0.550 0.526
O 0.430 0.296 0.528
O 0.929 0.308 0.527
O 0.268 0.700 0.976
O 0.777 0.709 0.972
O 0.079 0.449 0.973
O 0.580 0.462 0.975
O 0.146 0.843 0.972
O 0.651 0.838 0.976
O 0.276 0.844 0.470
O 0.767 0.837 0.474
O 0.153 0.465 0.474
O 0.646 0.451 0.470
O 0.081 0.698 0.473
O 0.578 0.706 0.471
O 0.062 0.640 0.363
O 0.561 0.640 0.362
O 0.260 0.878 0.360
O 0.757 0.875 0.364
O 0.181 0.486 0.364
O 0.679 0.480 0.361
O 0.063 0.485 0.864
O 0.564 0.487 0.864
O 0.180 0.874 0.863
O 0.680 0.871 0.865
O 0.256 0.641 0.865
O 0.758 0.641 0.863
O 0.016 0.832 0.415
O 0.514 0.839 0.410
O 0.407 0.969 0.408
O 0.900 0.969 0.416
O 0.085 0.200 0.416
O 0.578 0.189 0.409
O 0.015 0.189 0.910
O 0.515 0.199 0.916
O 0.079 0.969 0.910
O 0.584 0.968 0.917
O 0.399 0.832 0.917
O 0.906 0.842 0.909
O 0.496 0.171 0.592
O 0.997 0.182 0.587
O 0.094 0.005 0.586
O 0.589 0.009 0.593
O 0.416 0.821 0.593
O 0.909 0.812 0.586
O 0.491 0.802 0.091
O 0.997 0.823 0.093
O 0.409 0.014 0.090
O 0.916 0.010 0.092
O 0.094 0.170 0.096
O 0.593 0.182 0.086
O 0.348 0.165 0.742
O 0.848 0.166 0.748
O 0.234 0.301 0.749
O 0.735 0.303 0.741
O 0.417 0.531 0.741
O 0.917 0.532 0.749
O 0.348 0.520 0.243
O 0.848 0.531 0.242
O 0.411 0.302 0.244
O 0.917 0.302 0.241
O 0.241 0.178 0.238
O 0.733 0.166 0.249
O 0.318 0.504 0.926
O 0.827 0.515 0.923
O 0.433 0.362 0.924
O 0.932 0.350 0.925
O 0.243 0.136 0.924
O 0.748 0.134 0.926
O 0.328 0.140 0.422
O 0.818 0.134 0.425
O 0.249 0.361 0.425
O 0.742 0.347 0.423
O 0.431 0.513 0.424
O 0.932 0.504 0.424
O 0.175 0.497 0.077
O 0.678 0.510 0.073
O 0.078 0.654 0.074
O 0.571 0.637 0.077
O 0.246 0.855 0.076
O 0.751 0.847 0.075
O 0.180 0.849 0.572
O 0.671 0.845 0.575
O 0.252 0.656 0.574
O 0.744 0.642 0.573
O 0.077 0.509 0.574
O 0.576 0.499 0.574
O 0.159 0.850 0.251
O 0.651 0.839 0.260
O 0.266 0.682 0.258
O 0.768 0.697 0.253
O 0.081 0.464 0.252
O 0.574 0.467 0.259
O 0.152 0.463 0.760
O 0.652 0.464 0.753
O 0.080 0.697 0.760
O 0.581 0.698 0.753
O 0.268 0.838 0.752
O 0.768 0.840 0.760